[1]
Material: Nd2Te2W2O13
Method: DFT, PBE+U
State: optimized geometry

abc: 6.731 6.993 11.773
angles: 90.58 98.38 93.55
Positions (direct):
Nd (0.132, 0.372, 0.368)
Nd (0.269, 0.871, 0.882)
Nd (0.731, 0.129, 0.118)
Nd (0.868, 0.628, 0.632)
Te (0.251, 0.387, 0.051)
Te (0.330, 0.821, 0.559)
Te (0.670, 0.179, 0.441)
Te (0.749, 0.613, 0.949)
W (0.253, 0.881, 0.187)
W (0.390, 0.377, 0.702)
W (0.610, 0.623, 0.298)
W (0.747, 0.119, 0.813)
O (0.014, 0.101, 0.854)
O (0.077, 0.320, 0.158)
O (0.119, 0.654, 0.487)
O (0.150, 0.458, 0.723)
O (0.178, 0.854, 0.680)
O (0.228, 0.669, 0.048)
O (0.297, 0.047, 0.310)
O (0.298, 0.652, 0.281)
O (0.321, 0.249, 0.565)
O (0.344, 0.048, 0.070)
O (0.424, 0.168, 0.804)
O (0.489, 0.586, 0.854)
O (0.491, 0.613, 0.623)
O (0.509, 0.387, 0.377)
O (0.511, 0.414, 0.146)
O (0.576, 0.832, 0.196)
O (0.656, 0.952, 0.930)
O (0.679, 0.751, 0.435)
O (0.702, 0.348, 0.719)
O (0.703, 0.953, 0.690)
O (0.772, 0.331, 0.952)
O (0.822, 0.146, 0.320)
O (0.850, 0.542, 0.277)
O (0.881, 0.346, 0.513)
O (0.923, 0.680, 0.842)
O (0.986, 0.899, 0.146)

Results
Mass density (g cm⁻³): 6.79
Energy of formation (kJ/mol of atoms): -239
Total energy after the MP2020 corrections (eV/atom): -8.06
M_tot (μB per formula unit): 0.00
V (Å³ per atom): 14.4

***

[2]
Material: NdTlW2O8
Method: DFT, PBE+U
State: optimized geometry

abc: 5.294 19.041 8.327
angles: 90.00 90.00 90.00
Positions (direct):
Nd (0.000, 0.007, 0.250)
Nd (0.000, 0.993, 0.750)
Nd (0.500, 0.493, 0.750)
Nd (0.500, 0.507, 0.250)
Tl (0.000, 0.230, 0.750)
Tl (0.000, 0.770, 0.250)
Tl (0.500, 0.270, 0.250)
Tl (0.500, 0.730, 0.750)
W (0.021, 0.399, 0.018)
W (0.021, 0.601, 0.518)
W (0.479, 0.101, 0.518)
W (0.479, 0.899, 0.018)
W (0.521, 0.101, 0.982)
W (0.521, 0.899, 0.482)
W (0.979, 0.399, 0.482)
W (0.979, 0.601, 0.982)
O (0.102, 0.312, 0.475)
O (0.102, 0.688, 0.975)
O (0.224, 0.401, 0.842)
O (0.224, 0.599, 0.342)
O (0.239, 0.408, 0.189)
O (0.239, 0.592, 0.689)
O (0.244, 0.464, 0.503)
O (0.244, 0.536, 0.003)
O (0.256, 0.036, 0.003)
O (0.256, 0.964, 0.503)
O (0.261, 0.092, 0.689)
O (0.261, 0.908, 0.189)
O (0.276, 0.099, 0.342)
O (0.276, 0.901, 0.842)
O (0.398, 0.188, 0.975)
O (0.398, 0.812, 0.475)
O (0.602, 0.188, 0.525)
O (0.602, 0.812, 0.025)
O (0.724, 0.099, 0.158)
O (0.724, 0.901, 0.658)
O (0.739, 0.092, 0.811)
O (0.739, 0.908, 0.311)
O (0.744, 0.036, 0.497)
O (0.744, 0.964, 0.997)
O (0.756, 0.464, 0.997)
O (0.756, 0.536, 0.497)
O (0.761, 0.408, 0.311)
O (0.761, 0.592, 0.811)
O (0.776, 0.401, 0.658)
O (0.776, 0.599, 0.158)
O (0.898, 0.312, 0.025)
O (0.898, 0.688, 0.525)

Results
Mass density (g cm⁻³): 6.68
Energy of formation (kJ/mol of atoms): -235
ΔE to the lowest computed polymorph (meV per atom): 46
Total energy after the MP2020 corrections (eV/atom): -8.49
M_tot (μB per formula unit): 0.00
V (Å³ per atom): 17.5

***

[3]
Material: NdTlW2O8
Method: DFT, PBE+U
State: optimized geometry

abc: 7.751 7.751 7.553
angles: 117.12 117.12 89.36
Positions (direct):
Nd (0.225, 0.775, 0.750)
Nd (0.775, 0.225, 0.250)
Tl (0.204, 0.796, 0.250)
Tl (0.796, 0.204, 0.750)
W (0.303, 0.312, 0.779)
W (0.312, 0.303, 0.279)
W (0.688, 0.697, 0.721)
W (0.697, 0.688, 0.221)
O (0.053, 0.214, 0.189)
O (0.071, 0.383, 0.632)
O (0.214, 0.053, 0.689)
O (0.249, 0.380, 0.059)
O (0.371, 0.584, 0.528)
O (0.380, 0.249, 0.559)
O (0.383, 0.071, 0.132)
O (0.416, 0.629, 0.972)
O (0.584, 0.371, 0.028)
O (0.617, 0.929, 0.868)
O (0.620, 0.751, 0.441)
O (0.629, 0.416, 0.472)
O (0.751, 0.620, 0.941)
O (0.786, 0.947, 0.311)
O (0.929, 0.617, 0.368)
O (0.947, 0.786, 0.811)

Results
Mass density (g cm⁻³): 8.05
Energy of formation (kJ/mol of atoms): -240
ΔE to the lowest computed polymorph (meV per atom): 0
Total energy after the MP2020 corrections (eV/atom): -8.54
M_tot (μB per formula unit): 0.00
V (Å³ per atom): 14.5

***

[4]
Material: Nd2V2O7
Method: DFT, PBE+U
State: optimized geometry

abc: 7.313 7.313 7.313
angles: 60.00 60.00 60.00
Positions (direct):
Nd (0.000, 0.000, 0.000)
Nd (0.000, 0.000, 0.500)
Nd (0.000, 0.500, 0.000)
Nd (0.500, 0.000, 0.000)
V (0.000, 0.500, 0.500)
V (0.500, 0.000, 0.500)
V (0.500, 0.500, 0.000)
V (0.500, 0.500, 0.500)
O (0.125, 0.125, 0.125)
O (0.173, 0.173, 0.577)
O (0.173, 0.577, 0.173)
O (0.173, 0.577, 0.577)
O (0.423, 0.423, 0.827)
O (0.423, 0.827, 0.423)
O (0.423, 0.827, 0.827)
O (0.577, 0.173, 0.173)
O (0.577, 0.173, 0.577)
O (0.577, 0.577, 0.173)
O (0.827, 0.423, 0.423)
O (0.827, 0.423, 0.827)
O (0.827, 0.827, 0.423)
O (0.875, 0.875, 0.875)

Results
Mass density (g cm⁻³): 6.03
Energy of formation (kJ/mol of atoms): -302
Total energy after the MP2020 corrections (eV/atom): -8.80
M_tot (μB per formula unit): 2.26
V (Å³ per atom): 12.6

***

[5]
Material: NdVO3
Method: DFT, PBE+U
State: optimized geometry

abc: 5.746 7.844 5.492
angles: 90.00 90.00 90.00
Positions (direct):
Nd (0.060, 0.250, 0.016)
Nd (0.440, 0.750, 0.516)
Nd (0.560, 0.250, 0.484)
Nd (0.940, 0.750, 0.984)
V (0.000, 0.000, 0.500)
V (0.000, 0.500, 0.500)
V (0.500, 0.000, 0.000)
V (0.500, 0.500, 0.000)
O (0.028, 0.750, 0.403)
O (0.202, 0.551, 0.797)
O (0.202, 0.949, 0.797)
O (0.298, 0.051, 0.297)
O (0.298, 0.449, 0.297)
O (0.472, 0.250, 0.903)
O (0.528, 0.750, 0.097)
O (0.702, 0.551, 0.703)
O (0.702, 0.949, 0.703)
O (0.798, 0.051, 0.203)
O (0.798, 0.449, 0.203)
O (0.972, 0.250, 0.597)

Results
Mass density (g cm⁻³): 6.53
Energy of formation (kJ/mol of atoms): -311
Total energy after the MP2020 corrections (eV/atom): -8.96
V (Å³ per atom): 12.4

***

[6]
Material: NdVO3
Method: DFT, PBE+U
State: optimized geometry

abc: 3.923 3.923 3.923
angles: 90.00 90.00 90.00
Positions (direct):
Nd (0.000, 0.000, 0.000)
V (0.500, 0.500, 0.500)
O (0.000, 0.500, 0.500)
O (0.500, 0.000, 0.500)
O (0.500, 0.500, 0.000)

Results
Mass density (g cm⁻³): 6.69
Energy of formation (kJ/mol of atoms): -289
Total energy after the MP2020 corrections (eV/atom): -8.74
M_tot (μB per formula unit): 2.00
V (Å³ per atom): 12.1

***

[7]
Material: Nd2WO6
Method: DFT, PBE+U
State: optimized geometry

abc: 10.387 10.387 5.705
angles: 105.01 105.01 68.92
Positions (direct):
Nd (0.064, 0.291, 0.882)
Nd (0.108, 0.892, 0.750)
Nd (0.291, 0.064, 0.382)
Nd (0.370, 0.630, 0.250)
Nd (0.630, 0.370, 0.750)
Nd (0.709, 0.936, 0.618)
Nd (0.892, 0.108, 0.250)
Nd (0.936, 0.709, 0.118)
W (0.202, 0.497, 0.556)
W (0.497, 0.202, 0.056)
W (0.503, 0.798, 0.944)
W (0.798, 0.503, 0.444)
O (0.070, 0.474, 0.268)
O (0.078, 0.109, 0.073)
O (0.109, 0.078, 0.573)
O (0.163, 0.681, 0.421)
O (0.176, 0.612, 0.859)
O (0.215, 0.329, 0.626)
O (0.319, 0.837, 0.079)
O (0.329, 0.215, 0.126)
O (0.382, 0.458, 0.517)
O (0.388, 0.824, 0.641)
O (0.458, 0.382, 0.017)
O (0.474, 0.070, 0.768)
O (0.526, 0.930, 0.232)
O (0.542, 0.618, 0.983)
O (0.612, 0.176, 0.359)
O (0.618, 0.542, 0.483)
O (0.671, 0.785, 0.874)
O (0.681, 0.163, 0.921)
O (0.785, 0.671, 0.374)
O (0.824, 0.388, 0.141)
O (0.837, 0.319, 0.579)
O (0.891, 0.922, 0.427)
O (0.922, 0.891, 0.927)
O (0.930, 0.526, 0.732)

Results
Mass density (g cm⁻³): 6.92
Energy of formation (kJ/mol of atoms): -307
ΔE to the lowest computed polymorph (meV per atom): 55
Total energy after the MP2020 corrections (eV/atom): -8.98
M_tot (μB per formula unit): 0.00
V (Å³ per atom): 15.1

***

[8]
Material: NdWO2
Method: DFT, PBE+U
State: optimized geometry

abc: 7.677 7.677 7.677
angles: 130.22 130.22 73.05
Positions (direct):
Nd (0.000, 0.000, 0.000)
Nd (0.000, 0.000, 0.500)
Nd (0.000, 0.500, 0.000)
Nd (0.500, 0.000, 0.500)
W (0.000, 0.500, 0.500)
W (0.500, 0.000, 0.000)
W (0.500, 0.500, 0.000)
W (0.500, 0.500, 0.500)
O (0.201, 0.233, 0.532)
O (0.201, 0.668, 0.968)
O (0.233, 0.201, 0.032)
O (0.332, 0.799, 0.532)
O (0.668, 0.201, 0.468)
O (0.767, 0.799, 0.968)
O (0.799, 0.332, 0.032)
O (0.799, 0.767, 0.468)

Results
Mass density (g cm⁻³): 9.29
Energy of formation (kJ/mol of atoms): -162
Total energy after the MP2020 corrections (eV/atom): -8.59
M_tot (μB per formula unit): 3.05
V (Å³ per atom): 16.1

***

[9]
Material: Nd4W3O15
Method: DFT, PBE+U
State: optimized geometry

abc: 24.582 10.057 10.292
angles: 90.00 90.00 90.00
Positions (direct):
Nd (0.008, 0.006, 0.250)
Nd (0.008, 0.494, 0.250)
Nd (0.126, 0.750, 0.249)
Nd (0.129, 0.029, 0.504)
Nd (0.129, 0.471, 0.504)
Nd (0.130, 0.007, 0.973)
Nd (0.130, 0.493, 0.973)
Nd (0.243, 0.750, 0.505)
Nd (0.257, 0.250, 0.005)
Nd (0.370, 0.507, 0.473)
Nd (0.370, 0.993, 0.473)
Nd (0.371, 0.529, 0.004)
Nd (0.371, 0.971, 0.004)
Nd (0.374, 0.250, 0.749)
Nd (0.492, 0.506, 0.750)
Nd (0.492, 0.994, 0.750)
Nd (0.508, 0.006, 0.250)
Nd (0.508, 0.494, 0.250)
Nd (0.626, 0.750, 0.251)
Nd (0.629, 0.029, 0.996)
Nd (0.629, 0.471, 0.996)
Nd (0.630, 0.007, 0.527)
Nd (0.630, 0.493, 0.527)
Nd (0.743, 0.750, 0.995)
Nd (0.757, 0.250, 0.495)
Nd (0.870, 0.507, 0.027)
Nd (0.870, 0.993, 0.027)
Nd (0.871, 0.529, 0.496)
Nd (0.871, 0.971, 0.496)
Nd (0.874, 0.250, 0.751)
Nd (0.992, 0.506, 0.750)
Nd (0.992, 0.994, 0.750)
W (0.008, 0.750, 0.049)
W (0.010, 0.750, 0.446)
W (0.102, 0.750, 0.745)
W (0.147, 0.250, 0.248)
W (0.239, 0.555, 0.242)
W (0.239, 0.945, 0.242)
W (0.261, 0.055, 0.742)
W (0.261, 0.445, 0.742)
W (0.353, 0.750, 0.748)
W (0.398, 0.250, 0.245)
W (0.490, 0.250, 0.946)
W (0.492, 0.250, 0.549)
W (0.508, 0.750, 0.451)
W (0.510, 0.750, 0.054)
W (0.602, 0.750, 0.755)
W (0.647, 0.250, 0.252)
W (0.739, 0.555, 0.258)
W (0.739, 0.945, 0.258)
W (0.761, 0.055, 0.758)
W (0.761, 0.445, 0.758)
W (0.853, 0.750, 0.752)
W (0.898, 0.250, 0.255)
W (0.990, 0.250, 0.554)
W (0.992, 0.250, 0.951)
O (0.005, 0.250, 0.746)
O (0.023, 0.750, 0.872)
O (0.031, 0.750, 0.624)
O (0.038, 0.107, 0.547)
O (0.038, 0.393, 0.547)
O (0.041, 0.108, 0.944)
O (0.041, 0.392, 0.944)
O (0.064, 0.620, 0.102)
O (0.064, 0.880, 0.102)
O (0.066, 0.618, 0.395)
O (0.066, 0.882, 0.395)
O (0.090, 0.561, 0.748)
O (0.090, 0.939, 0.748)
O (0.097, 0.111, 0.250)
O (0.097, 0.389, 0.250)
O (0.139, 0.750, 0.896)
O (0.149, 0.250, 0.437)
O (0.153, 0.750, 0.620)
O (0.155, 0.250, 0.060)
O (0.181, 0.598, 0.126)
O (0.181, 0.902, 0.126)
O (0.182, 0.609, 0.383)
O (0.182, 0.891, 0.383)
O (0.206, 0.011, 0.630)
O (0.206, 0.489, 0.630)
O (0.211, 0.121, 0.251)
O (0.211, 0.379, 0.251)
O (0.214, 0.059, 0.894)
O (0.214, 0.441, 0.894)
O (0.247, 0.250, 0.744)
O (0.253, 0.750, 0.244)
O (0.286, 0.559, 0.394)
O (0.286, 0.941, 0.394)
O (0.289, 0.621, 0.751)
O (0.289, 0.879, 0.751)
O (0.294, 0.511, 0.130)
O (0.294, 0.989, 0.130)
O (0.318, 0.109, 0.883)
O (0.318, 0.391, 0.883)
O (0.319, 0.098, 0.626)
O (0.319, 0.402, 0.626)
O (0.345, 0.750, 0.560)
O (0.347, 0.250, 0.120)
O (0.351, 0.750, 0.937)
O (0.361, 0.250, 0.396)
O (0.403, 0.611, 0.750)
O (0.403, 0.889, 0.750)
O (0.410, 0.061, 0.248)
O (0.410, 0.439, 0.248)
O (0.434, 0.118, 0.895)
O (0.434, 0.382, 0.895)
O (0.436, 0.120, 0.602)
O (0.436, 0.380, 0.602)
O (0.459, 0.608, 0.444)
O (0.459, 0.892, 0.444)
O (0.462, 0.607, 0.047)
O (0.462, 0.893, 0.047)
O (0.469, 0.250, 0.124)
O (0.477, 0.250, 0.372)
O (0.495, 0.750, 0.246)
O (0.505, 0.250, 0.754)
O (0.523, 0.750, 0.628)
O (0.531, 0.750, 0.876)
O (0.538, 0.107, 0.953)
O (0.538, 0.393, 0.953)
O (0.541, 0.108, 0.556)
O (0.541, 0.392, 0.556)
O (0.564, 0.620, 0.398)
O (0.564, 0.880, 0.398)
O (0.566, 0.618, 0.105)
O (0.566, 0.882, 0.105)
O (0.590, 0.561, 0.752)
O (0.590, 0.939, 0.752)
O (0.597, 0.111, 0.250)
O (0.597, 0.389, 0.250)
O (0.639, 0.750, 0.604)
O (0.649, 0.250, 0.063)
O (0.653, 0.750, 0.880)
O (0.655, 0.250, 0.440)
O (0.681, 0.598, 0.374)
O (0.681, 0.902, 0.374)
O (0.682, 0.609, 0.117)
O (0.682, 0.891, 0.117)
O (0.706, 0.011, 0.870)
O (0.706, 0.489, 0.870)
O (0.711, 0.121, 0.249)
O (0.711, 0.379, 0.249)
O (0.714, 0.059, 0.606)
O (0.714, 0.441, 0.606)
O (0.747, 0.250, 0.756)
O (0.753, 0.750, 0.256)
O (0.786, 0.559, 0.106)
O (0.786, 0.941, 0.106)
O (0.789, 0.621, 0.749)
O (0.789, 0.879, 0.749)
O (0.794, 0.511, 0.370)
O (0.794, 0.989, 0.370)
O (0.818, 0.109, 0.617)
O (0.818, 0.391, 0.617)
O (0.819, 0.098, 0.874)
O (0.819, 0.402, 0.874)
O (0.845, 0.750, 0.940)
O (0.847, 0.250, 0.380)
O (0.851, 0.750, 0.563)
O (0.861, 0.250, 0.104)
O (0.903, 0.611, 0.750)
O (0.903, 0.889, 0.750)
O (0.910, 0.061, 0.252)
O (0.910, 0.439, 0.252)
O (0.934, 0.118, 0.605)
O (0.934, 0.382, 0.605)
O (0.936, 0.120, 0.898)
O (0.936, 0.380, 0.898)
O (0.959, 0.608, 0.056)
O (0.959, 0.892, 0.056)
O (0.962, 0.607, 0.453)
O (0.962, 0.893, 0.453)
O (0.969, 0.250, 0.376)
O (0.977, 0.250, 0.128)
O (0.995, 0.750, 0.254)

Results
Mass density (g cm⁻³): 7.14
Energy of formation (kJ/mol of atoms): -290
ΔE to the lowest computed polymorph (meV per atom): 11
Total energy after the MP2020 corrections (eV/atom): -9.01
M_tot (μB per formula unit): 0.00
V (Å³ per atom): 14.5

***

Copy entry 7 word for word.
Material: Nd2WO6
Method: DFT, PBE+U
State: optimized geometry

abc: 10.387 10.387 5.705
angles: 105.01 105.01 68.92
Positions (direct):
Nd (0.064, 0.291, 0.882)
Nd (0.108, 0.892, 0.750)
Nd (0.291, 0.064, 0.382)
Nd (0.370, 0.630, 0.250)
Nd (0.630, 0.370, 0.750)
Nd (0.709, 0.936, 0.618)
Nd (0.892, 0.108, 0.250)
Nd (0.936, 0.709, 0.118)
W (0.202, 0.497, 0.556)
W (0.497, 0.202, 0.056)
W (0.503, 0.798, 0.944)
W (0.798, 0.503, 0.444)
O (0.070, 0.474, 0.268)
O (0.078, 0.109, 0.073)
O (0.109, 0.078, 0.573)
O (0.163, 0.681, 0.421)
O (0.176, 0.612, 0.859)
O (0.215, 0.329, 0.626)
O (0.319, 0.837, 0.079)
O (0.329, 0.215, 0.126)
O (0.382, 0.458, 0.517)
O (0.388, 0.824, 0.641)
O (0.458, 0.382, 0.017)
O (0.474, 0.070, 0.768)
O (0.526, 0.930, 0.232)
O (0.542, 0.618, 0.983)
O (0.612, 0.176, 0.359)
O (0.618, 0.542, 0.483)
O (0.671, 0.785, 0.874)
O (0.681, 0.163, 0.921)
O (0.785, 0.671, 0.374)
O (0.824, 0.388, 0.141)
O (0.837, 0.319, 0.579)
O (0.891, 0.922, 0.427)
O (0.922, 0.891, 0.927)
O (0.930, 0.526, 0.732)

Results
Mass density (g cm⁻³): 6.92
Energy of formation (kJ/mol of atoms): -307
ΔE to the lowest computed polymorph (meV per atom): 55
Total energy after the MP2020 corrections (eV/atom): -8.98
M_tot (μB per formula unit): 0.00
V (Å³ per atom): 15.1